Below is crystalline Ca2CrH2I2O11 at its relaxed geometry, with properties calculated at the PBE+U level.

a = 7.3412 Å, b = 10.2471 Å, c = 14.1605 Å
α = 73.43°, β = 90.00°, γ = 90.00°
Last column: nearest neighbours and their distance in Å.
Fractional coordinates of all 72 atoms:
Ca: 0.5854 0.3002 0.2038  7 O 2.37-2.53
Ca: 0.0854 0.6998 0.2962  7 O 2.37-2.53
Ca: 0.4146 0.6998 0.7962  7 O 2.37-2.53
Ca: 0.9146 0.3002 0.7038  7 O 2.37-2.53
Ca: 0.7572 0.1007 0.9885  6 O 2.34-2.60
Ca: 0.2572 0.8993 0.5115  6 O 2.34-2.60
Ca: 0.2428 0.8993 0.0115  6 O 2.34-2.60
Ca: 0.7428 0.1007 0.4885  6 O 2.34-2.60
Cr: 0.2960 0.5694 0.0784  4 O 1.64-1.70
Cr: 0.7960 0.4306 0.4216  4 O 1.64-1.70
Cr: 0.7040 0.4306 0.9216  4 O 1.64-1.70
Cr: 0.2040 0.5694 0.5784  4 O 1.64-1.70
H: 0.9253 0.4166 0.2429  1 O 0.99
H: 0.4253 0.5834 0.2571  1 O 0.99
H: 0.0747 0.5834 0.7571  1 O 0.99
H: 0.5747 0.4166 0.7429  1 O 0.99
H: 0.9941 0.4005 0.1415  1 O 0.99
H: 0.4941 0.5995 0.3585  1 O 0.99
H: 0.0059 0.5995 0.8585  1 O 0.99
H: 0.5059 0.4005 0.6415  1 O 0.99
I: 0.7035 0.9501 0.2731  3 O 1.82-1.84
I: 0.2035 0.0499 0.2269  3 O 1.82-1.84
I: 0.2965 0.0499 0.7269  3 O 1.82-1.84
I: 0.7965 0.9501 0.7731  3 O 1.82-1.84
I: 0.7392 0.7436 0.0750  3 O 1.83-1.85
I: 0.2392 0.2564 0.4250  3 O 1.83-1.85
I: 0.2608 0.2564 0.9250  3 O 1.83-1.85
I: 0.7608 0.7436 0.5750  3 O 1.83-1.85
O: 0.9079 0.8738 0.3405  1 I 1.83
O: 0.4079 0.1262 0.1595  1 I 1.83
O: 0.0921 0.1262 0.6595  1 I 1.83
O: 0.5921 0.8738 0.8405  1 I 1.83
O: 0.8063 0.0502 0.1582  1 I 1.82
O: 0.3063 0.9498 0.3418  1 I 1.82
O: 0.1937 0.9498 0.8418  1 I 1.82
O: 0.6937 0.0502 0.6582  1 I 1.82
O: 0.7992 0.7260 0.2033  1 I 1.83
O: 0.2992 0.2740 0.2967  1 I 1.83
O: 0.2008 0.2740 0.7967  1 I 1.83
O: 0.7008 0.7260 0.7033  1 I 1.83
O: 0.4900 0.5344 0.1459  1 Cr 1.70, 1 H 1.85
O: 0.9900 0.4656 0.3541  1 Cr 1.70, 1 H 1.85
O: 0.5100 0.4656 0.8541  1 Cr 1.70, 1 H 1.85
O: 0.0100 0.5344 0.6459  1 Cr 1.70, 1 H 1.85
O: 0.1544 0.6481 0.1355  1 Cr 1.66
O: 0.6544 0.3519 0.3645  1 Cr 1.66
O: 0.8456 0.3519 0.8645  1 Cr 1.66
O: 0.3456 0.6481 0.6355  1 Cr 1.66
O: 0.5590 0.8706 0.0640  1 I 1.83
O: 0.0590 0.1294 0.4360  1 I 1.83
O: 0.4410 0.1294 0.9360  1 I 1.83
O: 0.9410 0.8706 0.5640  1 I 1.83
O: 0.6540 0.3190 0.0300  1 Cr 1.67
O: 0.1540 0.6810 0.4700  1 Cr 1.67
O: 0.3460 0.6810 0.9700  1 Cr 1.67
O: 0.8460 0.3190 0.5300  1 Cr 1.67
O: 0.0908 0.1340 0.9950  1 I 1.85
O: 0.5908 0.8660 0.5050  1 I 1.85
O: 0.9092 0.8660 0.0050  1 I 1.85
O: 0.4092 0.1340 0.4950  1 I 1.85
O: 0.6839 0.0945 0.3251  1 I 1.84
O: 0.1839 0.9055 0.1749  1 I 1.84
O: 0.3161 0.9055 0.6749  1 I 1.84
O: 0.8161 0.0945 0.8251  1 I 1.84
O: 0.2053 0.4287 0.0663  1 Cr 1.64
O: 0.7053 0.5713 0.4337  1 Cr 1.64
O: 0.7947 0.5713 0.9337  1 Cr 1.64
O: 0.2947 0.4287 0.5663  1 Cr 1.64
O: 0.8859 0.3897 0.1846  2 H 0.99
O: 0.3859 0.6103 0.3154  2 H 0.99
O: 0.1141 0.6103 0.8154  2 H 0.99
O: 0.6141 0.3897 0.6846  2 H 0.99

## Properties
The calculation puts the raw total energy at -0.40989 Ry per atom. As for the symmetry: P2_1/c, No. 14.


Below is crystalline Li7Mn5O12 at its relaxed geometry, with properties calculated at the PBE+U level.

a = 5.0948 Å, b = 8.9942 Å, c = 10.1161 Å
α = 103.48°, β = 79.02°, γ = 88.65°
Last column: nearest neighbours and their distance in Å.
Fractional coordinates of all 48 atoms:
Li: 0.5000 0.1667 0.0000  4 O 2.00-2.14
Li: 0.0000 0.6667 0.5000  6 O 2.06-2.18
Li: 0.2500 0.4167 0.2514  6 O 2.13-2.18
Li: 0.7500 0.9166 0.7486  6 O 2.13-2.18
Li: 0.2538 0.4172 0.7533  6 O 2.07-2.20
Li: 0.7462 0.9162 0.2468  6 O 2.07-2.20
Li: 0.5058 0.4987 0.9959  6 O 2.03-2.21
Li: 0.0038 0.0121 0.5008  5 O 2.02-2.22
Li: 0.4942 0.8346 0.0041  6 O 2.03-2.21
Li: 0.9961 0.3213 0.4992  5 O 2.02-2.22
Li: 0.7344 0.2554 0.7528  5 O 2.09-2.24
Li: 0.2383 0.7545 0.2470  5 O 2.06-2.22
Li: 0.7618 0.5787 0.7530  5 O 2.07-2.22
Li: 0.2656 0.0779 0.2472  5 O 2.09-2.25
Mn: 0.5003 0.1666 0.5000  6 O 1.93-1.99
Mn: 0.0000 0.6665 0.9999  6 O 1.94-1.97
Mn: 0.9887 0.9963 0.9993  4 O 1.90-2.02
Mn: 0.4996 0.4970 0.5010  4 O 1.94-2.00
Mn: 0.0113 0.3371 0.0006  4 O 1.90-2.02
Mn: 0.5003 0.8363 0.4990  4 O 1.95-2.00
Mn: 0.2489 0.7441 0.7465  6 O 1.92-2.02
Mn: 0.7509 0.2419 0.2490  4 O 1.94-2.00
Mn: 0.7509 0.5892 0.2536  6 O 1.92-2.02
Mn: 0.2489 0.0914 0.7510  4 O 1.95-2.00
O: 0.8565 0.4712 0.3766  2 Mn 1.95-1.98, 2 Li 2.14
O: 0.3403 0.9453 0.8605  3 Mn 2.00-2.02, 2 Li 2.15-2.19
O: 0.6597 0.3880 0.1395  3 Mn 2.00-2.02, 2 Li 2.15-2.19
O: 0.1435 0.8622 0.6234  2 Mn 1.95-1.98, 2 Li 2.14
O: 0.1074 0.2160 0.1289  2 Mn 1.96-2.00, 3 Li 2.14-2.16
O: 0.6006 0.7206 0.6302  2 Mn 1.92-2.00, 1 Li 2.13
O: 0.3995 0.6128 0.3698  2 Mn 1.92-2.00, 1 Li 2.13
O: 0.8926 0.1174 0.8710  2 Mn 1.96-2.00, 3 Li 2.14-2.16
O: 0.3614 0.2946 0.8875  1 Mn 1.90, 3 Li 2.00-2.09
O: 0.8438 0.7752 0.3703  2 Mn 1.94-1.95, 3 Li 2.06-2.13
O: 0.1562 0.5582 0.6297  2 Mn 1.93-1.95, 3 Li 2.06-2.13
O: 0.6386 0.0388 0.1125  1 Mn 1.90, 4 Li 2.00-2.13
O: 0.1044 0.5614 0.1314  2 Mn 1.94-1.95, 1 Li 2.06
O: 0.6068 0.0569 0.6265  2 Mn 1.93-1.98, 3 Li 2.13-2.16
O: 0.8958 0.7719 0.8686  2 Mn 1.94-1.95, 1 Li 2.07
O: 0.3931 0.2765 0.3735  2 Mn 1.93-1.98, 3 Li 2.13-2.16
O: 0.3502 0.6365 0.8753  2 Mn 1.93-1.95
O: 0.8498 0.1300 0.3772  2 Mn 1.94, 2 Li 2.06-2.11
O: 0.6498 0.6969 0.1247  2 Mn 1.93-1.95
O: 0.1500 0.2033 0.6228  2 Mn 1.94-1.95, 2 Li 2.06-2.11
O: 0.1057 0.8605 0.1056  2 Mn 1.96-1.97, 3 Li 2.03-2.09
O: 0.6132 0.3607 0.6063  2 Mn 1.94-1.99, 3 Li 2.02-2.11
O: 0.8944 0.4729 0.8944  2 Mn 1.96, 3 Li 2.03-2.09
O: 0.3867 0.9726 0.3937  2 Mn 1.95-1.99, 3 Li 2.02-2.11

## Properties
The calculation puts the raw total energy at -0.46964 Ry per atom. As for the symmetry: P-1, No. 2.


Below is crystalline AlVMoO7 at its relaxed geometry, with properties calculated at the PBE+U level.

a = 5.4515 Å, b = 8.3050 Å, c = 12.9620 Å
α = 90.00°, β = 90.00°, γ = 90.00°
Last column: nearest neighbours and their distance in Å.
Fractional coordinates of all 40 atoms:
Al: 0.7500 0.2340 0.1123  6 O 1.86-1.94
Al: 0.2500 0.7660 0.8877  6 O 1.86-1.94
Al: 0.2500 0.7340 0.3877  6 O 1.86-1.94
Al: 0.7500 0.2660 0.6123  6 O 1.86-1.94
V: 0.2500 0.4325 0.9854  1 O 1.61
V: 0.7500 0.5675 0.0146  1 O 1.61
V: 0.7500 0.9325 0.5146  1 O 1.61
V: 0.2500 0.0675 0.4854  1 O 1.61
Mo: 0.7500 0.0450 0.8551  4 O 1.78-1.79
Mo: 0.2500 0.9550 0.1449  4 O 1.78-1.79
Mo: 0.2500 0.5450 0.6449  4 O 1.78-1.79
Mo: 0.7500 0.4550 0.3551  4 O 1.78-1.79
O: 0.2500 0.2838 0.9052  1 V 1.61
O: 0.7500 0.7162 0.0948  1 V 1.61
O: 0.7500 0.7838 0.5948  1 V 1.61
O: 0.2500 0.2162 0.4052  1 V 1.61
O: 0.0222 0.5989 0.9306  2 V 1.86-1.99, 1 Al 1.94
O: 0.5222 0.4011 0.0694  2 V 1.86-1.99, 1 Al 1.94
O: 0.9778 0.0989 0.5694  2 V 1.86-1.99, 1 Al 1.94
O: 0.4778 0.9011 0.4306  2 V 1.86-1.99, 1 Al 1.94
O: 0.9778 0.4011 0.0694  2 V 1.86-1.99, 1 Al 1.94
O: 0.4778 0.5989 0.9306  2 V 1.86-1.99, 1 Al 1.94
O: 0.0222 0.9011 0.4306  2 V 1.86-1.99, 1 Al 1.94
O: 0.5222 0.0989 0.5694  2 V 1.86-1.99, 1 Al 1.94
O: 0.4911 0.5859 0.3513  1 Mo 1.78, 1 Al 1.86
O: 0.9911 0.4141 0.6487  1 Mo 1.78, 1 Al 1.86
O: 0.5089 0.0859 0.1487  1 Mo 1.78, 1 Al 1.86
O: 0.0089 0.9141 0.8513  1 Mo 1.78, 1 Al 1.86
O: 0.5089 0.4141 0.6487  1 Mo 1.78, 1 Al 1.86
O: 0.0089 0.5859 0.3513  1 Mo 1.78, 1 Al 1.86
O: 0.4911 0.9141 0.8513  1 Mo 1.78, 1 Al 1.86
O: 0.9911 0.0859 0.1487  1 Mo 1.78, 1 Al 1.86
O: 0.7500 0.3444 0.4735  1 Mo 1.79, 1 Al 1.91
O: 0.2500 0.6556 0.5265  1 Mo 1.79, 1 Al 1.91
O: 0.2500 0.8444 0.0265  1 Mo 1.79, 1 Al 1.91
O: 0.7500 0.1556 0.9735  1 Mo 1.79, 1 Al 1.91
O: 0.7500 0.3223 0.2461  1 Mo 1.79, 1 Al 1.88
O: 0.2500 0.6777 0.7539  1 Mo 1.79, 1 Al 1.88
O: 0.2500 0.8223 0.2539  1 Mo 1.79, 1 Al 1.88
O: 0.7500 0.1777 0.7461  1 Mo 1.79, 1 Al 1.88

## Properties
The calculation puts the raw total energy at -0.53802 Ry per atom. As for the symmetry: Pnma, No. 62.


Below is crystalline Na3Ni2P2C2O14 at its relaxed geometry, with properties calculated at the PBE+U level.

a = 6.5022 Å, b = 10.2293 Å, c = 10.3030 Å
α = 61.52°, β = 90.00°, γ = 90.00°
Last column: nearest neighbours and their distance in Å.
Fractional coordinates of all 46 atoms:
Na: 0.5373 0.2485 0.7574  4 O 2.26-2.44
Na: 0.0122 0.7545 0.7422  5 O 2.31-2.51
Na: 0.4847 0.7517 0.7483  5 O 2.32-2.51
Na: 0.9847 0.2483 0.2517  5 O 2.32-2.51
Na: 0.5122 0.2455 0.2578  5 O 2.31-2.51
Na: 0.0373 0.7515 0.2426  4 O 2.26-2.44
Ni: 0.2440 0.3451 0.9321  6 O 1.95-2.07
Ni: 0.7449 0.6490 0.5649  6 O 1.95-2.05
Ni: 0.2449 0.3510 0.4351  6 O 1.95-2.05
Ni: 0.7440 0.6549 0.0679  6 O 1.95-2.07
P: 0.7478 0.4252 0.9323  4 O 1.54-1.57
P: 0.2466 0.5695 0.5763  4 O 1.54-1.56
P: 0.7466 0.4305 0.4237  4 O 1.54-1.56
P: 0.2478 0.5748 0.0677  4 O 1.54-1.57
C: 0.7551 0.9218 0.8956  3 O 1.25-1.32
C: 0.7498 0.9186 0.3992  3 O 1.26-1.31
C: 0.2498 0.0814 0.6008  3 O 1.26-1.31
C: 0.2551 0.0782 0.1044  3 O 1.25-1.32
O: 0.2572 0.1328 0.9623  1 C 1.29
O: 0.9356 0.3247 0.9535  1 P 1.54
O: 0.5610 0.3273 0.9415  1 P 1.55
O: 0.2544 0.4193 0.7193  1 P 1.54
O: 0.7402 0.4628 0.5568  1 P 1.56
O: 0.2404 0.5392 0.9354  1 P 1.57
O: 0.7504 0.5737 0.7862  1 P 1.55
O: 0.0593 0.6673 0.5673  1 P 1.55
O: 0.4331 0.6683 0.5671  1 P 1.55
O: 0.7520 0.8187 0.8536  1 C 1.32
O: 0.7555 0.8201 0.3536  1 C 1.30
O: 0.7444 0.8582 0.5433  1 C 1.31
O: 0.2499 0.9430 0.6849  1 C 1.26
O: 0.2542 0.9424 0.1948  1 C 1.25
O: 0.7542 0.0576 0.8052  1 C 1.25
O: 0.7499 0.0570 0.3151  1 C 1.26
O: 0.2444 0.1418 0.4567  1 C 1.31
O: 0.2555 0.1799 0.6464  1 C 1.30
O: 0.2520 0.1813 0.1464  1 C 1.32
O: 0.9331 0.3317 0.4329  1 P 1.55
O: 0.5593 0.3327 0.4327  1 P 1.55
O: 0.2504 0.4263 0.2138  1 P 1.55
O: 0.7404 0.4608 0.0646  1 P 1.57
O: 0.2402 0.5372 0.4432  1 P 1.56
O: 0.7544 0.5807 0.2807  1 P 1.54
O: 0.4356 0.6753 0.0465  1 P 1.54
O: 0.0610 0.6727 0.0585  1 P 1.55
O: 0.7572 0.8672 0.0377  1 C 1.29

## Properties
The calculation puts the raw total energy at -0.46044 Ry per atom. As for the symmetry: P2_1, No. 4.


| no. | formation energy from the elements (eV per atom) | MP2020-corrected energy (eV/atom) | size of the total moment (μB per formula unit) |
| --- | --- | --- | --- |
| 1 | -1.7785 | -6.108 | 0.0 |
| 2 | -2.1413 | -7.081 | 15.0 |
| 3 | -2.4601 | -8.291 | 0.0 |
| 4 | -1.9437 | -6.904 | 3.0 |